1.
Compound: Li2Mn3SnO8
Source: Materials Project
Functional: GGA+U
Structure: relaxed Values from VASP.

```
&SYSTEM
  ibrav = 0, nat = 28, ntyp = 4
/
ATOMIC_SPECIES
Li 6.94 Li.upf
Mn 54.94 Mn.upf
Sn 118.71 Sn.upf
O 16.00 O.upf
ATOMIC_POSITIONS crystal
Li 0.053 0.060 0.315
Li 0.426 0.441 0.186
Li 0.574 0.559 0.814
Li 0.947 0.940 0.685
Mn 0.000 0.000 0.000
Mn 0.000 0.500 0.000
Mn 0.000 0.500 0.500
Mn 0.500 0.000 0.000
Mn 0.500 0.000 0.500
Mn 0.500 0.500 0.500
Sn 0.262 0.250 0.750
Sn 0.738 0.750 0.250
O 0.093 0.624 0.119
O 0.141 0.113 0.102
O 0.157 0.595 0.619
O 0.164 0.123 0.620
O 0.354 0.392 0.397
O 0.371 0.904 0.881
O 0.384 0.336 0.891
O 0.389 0.839 0.394
O 0.611 0.161 0.606
O 0.616 0.664 0.109
O 0.629 0.096 0.119
O 0.646 0.608 0.603
O 0.836 0.877 0.380
O 0.843 0.405 0.381
O 0.859 0.887 0.898
O 0.907 0.376 0.881
CELL_PARAMETERS angstrom
5.885 0.000 0.000
2.937 5.339 0.000
2.940 1.468 10.083
```

Results
Magnetic moment = 0.001 μB/f.u.
Space group = P-1, No. 2
Energy of formation = -2.09 eV/atom
Polymorph energy (0 for the lowest one) = 15 meV/atom
Mass density = 4.46 g/cm3

2.
Compound: Li2MnSn3O8
Source: Materials Project
Functional: GGA+U
Structure: relaxed Values from VASP.

```
&SYSTEM
  ibrav = 0, nat = 84, ntyp = 4
/
ATOMIC_SPECIES
Li 6.94 Li.upf
Mn 54.94 Mn.upf
Sn 118.71 Sn.upf
O 16.00 O.upf
ATOMIC_POSITIONS crystal
Li 0.017 0.983 0.500
Li 0.165 0.335 0.274
Li 0.166 0.834 0.275
Li 0.304 0.335 0.503
Li 0.335 0.165 0.774
Li 0.335 0.304 0.003
Li 0.665 0.696 0.503
Li 0.665 0.835 0.274
Li 0.696 0.665 0.003
Li 0.834 0.166 0.775
Li 0.835 0.665 0.774
Li 0.983 0.017 0.000
Mn 0.001 0.333 0.593
Mn 0.333 0.001 0.093
Mn 0.333 0.667 0.594
Mn 0.667 0.333 0.094
Mn 0.667 0.999 0.593
Mn 0.999 0.667 0.093
Sn 0.003 0.333 0.001
Sn 0.013 0.161 0.280
Sn 0.161 0.013 0.780
Sn 0.162 0.496 0.782
Sn 0.321 0.507 0.280
Sn 0.330 0.670 0.001
Sn 0.333 0.003 0.501
Sn 0.493 0.679 0.280
Sn 0.496 0.162 0.282
Sn 0.504 0.838 0.782
Sn 0.507 0.321 0.780
Sn 0.667 0.997 0.001
Sn 0.670 0.330 0.501
Sn 0.679 0.493 0.780
Sn 0.838 0.504 0.282
Sn 0.839 0.987 0.280
Sn 0.987 0.839 0.780
Sn 0.997 0.667 0.501
O 0.003 0.165 0.900
O 0.003 0.997 0.683
O 0.005 0.667 0.886
O 0.013 0.512 0.643
O 0.146 0.184 0.145
O 0.149 0.670 0.655
O 0.159 0.841 0.897
O 0.165 0.003 0.400
O 0.167 0.339 0.902
O 0.169 0.505 0.400
O 0.184 0.146 0.645
O 0.190 0.659 0.141
O 0.330 0.851 0.655
O 0.333 0.995 0.886
O 0.334 0.337 0.684
O 0.336 0.497 0.893
O 0.337 0.334 0.184
O 0.339 0.167 0.402
O 0.339 0.661 0.389
O 0.341 0.810 0.141
O 0.481 0.519 0.151
O 0.488 0.987 0.643
O 0.495 0.831 0.400
O 0.497 0.336 0.393
O 0.503 0.664 0.893
O 0.505 0.169 0.900
O 0.512 0.013 0.143
O 0.519 0.481 0.651
O 0.659 0.190 0.641
O 0.661 0.339 0.889
O 0.661 0.833 0.902
O 0.663 0.666 0.684
O 0.664 0.503 0.393
O 0.666 0.663 0.184
O 0.667 0.005 0.386
O 0.670 0.149 0.155
O 0.810 0.341 0.641
O 0.816 0.854 0.145
O 0.831 0.495 0.900
O 0.833 0.661 0.402
O 0.835 0.997 0.900
O 0.841 0.159 0.397
O 0.851 0.330 0.155
O 0.854 0.816 0.645
O 0.987 0.488 0.143
O 0.995 0.333 0.386
O 0.997 0.003 0.183
O 0.997 0.835 0.400
CELL_PARAMETERS angstrom
9.341 -5.393 0.000
9.341 5.393 0.000
0.000 0.000 10.076
```

Results
Magnetic moment = 3.667 μB/f.u.
Space group = Cmc2_1, No. 36
Energy of formation = -2.10 eV/atom
Mass density = 5.43 g/cm3

- Look up the magnetic moment of the first one.
  0.001 μB/f.u.

What did the second record say?
Compound: Li2MnSn3O8
Source: Materials Project
Functional: GGA+U
Structure: relaxed Values from VASP.

```
&SYSTEM
  ibrav = 0, nat = 84, ntyp = 4
/
ATOMIC_SPECIES
Li 6.94 Li.upf
Mn 54.94 Mn.upf
Sn 118.71 Sn.upf
O 16.00 O.upf
ATOMIC_POSITIONS crystal
Li 0.017 0.983 0.500
Li 0.165 0.335 0.274
Li 0.166 0.834 0.275
Li 0.304 0.335 0.503
Li 0.335 0.165 0.774
Li 0.335 0.304 0.003
Li 0.665 0.696 0.503
Li 0.665 0.835 0.274
Li 0.696 0.665 0.003
Li 0.834 0.166 0.775
Li 0.835 0.665 0.774
Li 0.983 0.017 0.000
Mn 0.001 0.333 0.593
Mn 0.333 0.001 0.093
Mn 0.333 0.667 0.594
Mn 0.667 0.333 0.094
Mn 0.667 0.999 0.593
Mn 0.999 0.667 0.093
Sn 0.003 0.333 0.001
Sn 0.013 0.161 0.280
Sn 0.161 0.013 0.780
Sn 0.162 0.496 0.782
Sn 0.321 0.507 0.280
Sn 0.330 0.670 0.001
Sn 0.333 0.003 0.501
Sn 0.493 0.679 0.280
Sn 0.496 0.162 0.282
Sn 0.504 0.838 0.782
Sn 0.507 0.321 0.780
Sn 0.667 0.997 0.001
Sn 0.670 0.330 0.501
Sn 0.679 0.493 0.780
Sn 0.838 0.504 0.282
Sn 0.839 0.987 0.280
Sn 0.987 0.839 0.780
Sn 0.997 0.667 0.501
O 0.003 0.165 0.900
O 0.003 0.997 0.683
O 0.005 0.667 0.886
O 0.013 0.512 0.643
O 0.146 0.184 0.145
O 0.149 0.670 0.655
O 0.159 0.841 0.897
O 0.165 0.003 0.400
O 0.167 0.339 0.902
O 0.169 0.505 0.400
O 0.184 0.146 0.645
O 0.190 0.659 0.141
O 0.330 0.851 0.655
O 0.333 0.995 0.886
O 0.334 0.337 0.684
O 0.336 0.497 0.893
O 0.337 0.334 0.184
O 0.339 0.167 0.402
O 0.339 0.661 0.389
O 0.341 0.810 0.141
O 0.481 0.519 0.151
O 0.488 0.987 0.643
O 0.495 0.831 0.400
O 0.497 0.336 0.393
O 0.503 0.664 0.893
O 0.505 0.169 0.900
O 0.512 0.013 0.143
O 0.519 0.481 0.651
O 0.659 0.190 0.641
O 0.661 0.339 0.889
O 0.661 0.833 0.902
O 0.663 0.666 0.684
O 0.664 0.503 0.393
O 0.666 0.663 0.184
O 0.667 0.005 0.386
O 0.670 0.149 0.155
O 0.810 0.341 0.641
O 0.816 0.854 0.145
O 0.831 0.495 0.900
O 0.833 0.661 0.402
O 0.835 0.997 0.900
O 0.841 0.159 0.397
O 0.851 0.330 0.155
O 0.854 0.816 0.645
O 0.987 0.488 0.143
O 0.995 0.333 0.386
O 0.997 0.003 0.183
O 0.997 0.835 0.400
CELL_PARAMETERS angstrom
9.341 -5.393 0.000
9.341 5.393 0.000
0.000 0.000 10.076
```

Results
Magnetic moment = 3.667 μB/f.u.
Space group = Cmc2_1, No. 36
Energy of formation = -2.10 eV/atom
Mass density = 5.43 g/cm3

- Which value of energy of formation does entry 1 give?
  -2.09 eV/atom